Record 1
Entry from the Materials Project database: a geometry-optimized Zr2Al structure (meta-GGA r2SCAN).

Lattice parameters (Å, degrees): 4.8998 4.8998 5.9357 90.00 90.00 120.00
Last column: nearest neighbours and their distance in Å.
Element x y z (fractional)
Zr1 0.0000 0.0000 0.5000  8 Zr 2.97-3.19, 6 Al 3.19
Zr2 0.0000 0.0000 0.0000  8 Zr 2.97-3.19, 6 Al 3.19
Zr3 0.3333 0.6667 0.7500  5 Al 2.83-2.97
Zr4 0.6667 0.3333 0.2500  5 Al 2.83-2.97
Al1 0.6667 0.3333 0.7500  5 Zr 2.83-2.97
Al2 0.3333 0.6667 0.2500  5 Zr 2.83-2.97

Calculated values
- ρ: 5.636 Mg/m³
- Formation energy from the elements: -0.40 eV/atom
- Volume: 20.57 Å³/atom
- Size of the total moment: 0.00 μB/f.u.

---

Record 2
Entry from the Materials Project database: a geometry-optimized EuHg2 structure (meta-GGA r2SCAN).

Lattice parameters (Å, degrees): 5.0200 5.0200 3.7197 90.00 90.00 120.00
Last column: nearest neighbours and their distance in Å.
Element x y z (fractional)
Hg1 0.3333 0.6667 0.5000  3 Hg 2.90
Hg2 0.6667 0.3333 0.5000  3 Hg 2.90
Eu1 0.0000 0.0000 0.0000  12 Hg 3.44, 2 Eu 3.72

Calculated values
- ρ: 11.315 Mg/m³
- Formation energy from the elements: -0.54 eV/atom
- Volume: 27.06 Å³/atom
- Size of the total moment: 7.19 μB/f.u.

---

Record 3
Entry from the Materials Project database: a geometry-optimized SiO2 structure (meta-GGA r2SCAN).

Lattice parameters (Å, degrees): 7.3542 9.6136 16.1059 72.67 89.50 88.40
Last column: nearest neighbours and their distance in Å.
Element x y z (fractional)
O1 0.1788 0.7971 0.5371  2 Si 1.60-1.61
O2 0.2274 0.0585 0.5469  2 Si 1.61-1.62
O3 0.6674 0.4867 0.6775  2 Si 1.60-1.61
O4 0.9789 0.5334 0.3535  2 Si 1.61
O5 0.0737 0.2336 0.7803  2 Si 1.61
O6 0.4997 0.2390 0.5254  2 Si 1.61
O7 0.6022 0.3346 0.8392  2 Si 1.60-1.61
O8 0.4992 0.9330 0.1329  2 Si 1.62
O9 0.8176 0.6677 0.5393  2 Si 1.60-1.61
O10 0.0190 0.1096 0.3548  2 Si 1.61
O11 0.2231 0.6042 0.4538  2 Si 1.61-1.62
O12 0.7670 0.1211 0.6328  2 Si 1.61
O13 0.6000 0.1738 0.1607  2 Si 1.60-1.61
O14 0.1595 0.8855 0.1006  2 Si 1.61
O15 0.6622 0.8577 0.7222  2 Si 1.60-1.61
O16 0.4983 0.0671 0.8665  2 Si 1.62
O17 0.3326 0.4207 0.7250  2 Si 1.60-1.61
O18 0.3268 0.8319 0.6779  2 Si 1.60-1.61
O19 0.6713 0.1665 0.3214  2 Si 1.60-1.61
O20 0.9240 0.7668 0.2200  2 Si 1.61
O21 0.7695 0.9427 0.4542  2 Si 1.61-1.62
O22 0.7681 0.7523 0.3678  2 Si 1.61
O23 0.4986 0.7609 0.4747  2 Si 1.61
O24 0.8380 0.1139 0.8992  2 Si 1.61
O25 0.5010 0.6079 0.7849  2 Si 1.61
O26 0.5000 0.3930 0.2152  2 Si 1.61
O27 0.0765 0.0157 0.2190  2 Si 1.61
O28 0.9223 0.9849 0.7803  2 Si 1.61
O29 0.2319 0.2499 0.6326  2 Si 1.61
O30 0.4186 0.8374 0.9996  2 Si 1.62
O31 0.7746 0.3972 0.5454  2 Si 1.61-1.62
O32 0.5791 0.1626 0.0000  2 Si 1.61-1.62
O33 0.9788 0.8893 0.6452  2 Si 1.61
O34 0.0175 0.4667 0.6469  2 Si 1.61
O35 0.6630 0.5817 0.2761  2 Si 1.60-1.61
O36 0.3967 0.8268 0.8386  2 Si 1.60-1.61
O37 0.8385 0.0142 0.1012  2 Si 1.61
O38 0.3346 0.1451 0.2770  2 Si 1.60-1.61
O39 0.1804 0.3333 0.4612  2 Si 1.61
O40 0.1592 0.9859 0.8987  2 Si 1.61
O41 0.2341 0.8801 0.3660  2 Si 1.61
O42 0.3961 0.6654 0.1604  2 Si 1.60-1.61
O43 0.3281 0.5131 0.3218  2 Si 1.60-1.61
O44 0.8185 0.2054 0.4614  2 Si 1.61
Si1 0.1648 0.3433 0.6959  4 O 1.60-1.61
Si2 0.1778 0.4968 0.3967  4 O 1.60-1.62
Si3 0.1782 0.8943 0.6027  4 O 1.60-1.62
Si4 0.7148 0.2396 0.5415  4 O 1.61
Si5 0.8192 0.5037 0.6032  4 O 1.60-1.62
Si6 0.8317 0.9628 0.6949  4 O 1.60-1.61
Si7 0.6300 0.1704 0.9010  4 O 1.60-1.62
Si8 0.8195 0.1060 0.3970  4 O 1.60-1.62
Si9 0.6299 0.0714 0.0989  4 O 1.60-1.62
Si10 0.4720 0.7820 0.7558  4 O 1.61
Si11 0.3677 0.8296 0.0986  4 O 1.60-1.62
Si12 0.9983 0.0799 0.8390  4 O 1.61
Si13 0.4721 0.5390 0.2435  4 O 1.61
Si14 0.7134 0.7801 0.4587  4 O 1.60-1.61
Si15 0.1668 0.0381 0.3044  4 O 1.60-1.61
Si16 0.5261 0.2187 0.2437  4 O 1.61
Si17 0.9995 0.9202 0.1608  4 O 1.61
Si18 0.2837 0.7616 0.4577  4 O 1.60-1.61
Si19 0.2848 0.2209 0.5418  4 O 1.61
Si20 0.5254 0.4617 0.7566  4 O 1.61
Si21 0.8326 0.6578 0.3046  4 O 1.60-1.61
Si22 0.3676 0.9288 0.9006  4 O 1.60-1.62

Calculated values
- ρ: 2.020 Mg/m³
- Formation energy from the elements: -3.02 eV/atom
- Volume: 16.46 Å³/atom
- Size of the total moment: 0.00 μB/f.u.

---

Record 4
Entry from the Materials Project database: a geometry-optimized PaZnAu2 structure (meta-GGA r2SCAN).

Lattice parameters (Å, degrees): 4.8387 4.8387 4.8387 60.00 60.00 60.00
Last column: nearest neighbours and their distance in Å.
Element x y z (fractional)
Pa1 0.2500 0.2500 0.2500  8 Au 2.96
Au1 0.5000 0.5000 0.5000  4 Pa 2.96, 4 Zn 2.96
Au2 0.0000 0.0000 0.0000  4 Zn 2.96, 4 Pa 2.96
Zn1 0.7500 0.7500 0.7500  8 Au 2.96

Calculated values
- ρ: 14.311 Mg/m³
- Formation energy from the elements: -0.37 eV/atom
- Volume: 20.03 Å³/atom
- Size of the total moment: 0.02 μB/f.u.

---

Record 5
Entry from the Materials Project database: a geometry-optimized TmCuAs2 structure (meta-GGA r2SCAN).

Lattice parameters (Å, degrees): 3.8429 3.8429 9.8040 90.00 90.00 90.00
Last column: nearest neighbours and their distance in Å.
Element x y z (fractional)
Cu1 0.7500 0.2500 0.5000  4 As 2.49, 4 Cu 2.72
Cu2 0.2500 0.7500 0.5000  4 As 2.49, 4 Cu 2.72
Tm1 0.7500 0.7500 0.7639  8 As 2.90-3.01, 4 Cu 3.22
Tm2 0.2500 0.2500 0.2361  8 As 2.90-3.01, 4 Cu 3.22
As1 0.2500 0.2500 0.6616  4 Cu 2.49
As2 0.7500 0.2500 0.0000  4 As 2.72, 4 Tm 3.01
As3 0.2500 0.7500 0.0000  4 As 2.72, 4 Tm 3.01
As4 0.7500 0.7500 0.3384  4 Cu 2.49

Calculated values
- ρ: 8.770 Mg/m³
- Formation energy from the elements: -0.90 eV/atom
- Volume: 18.10 Å³/atom
- Size of the total moment: 0.00 μB/f.u.

---

Record 6
Entry from the Materials Project database: a geometry-optimized SrFe2As2 structure (meta-GGA r2SCAN).

Lattice parameters (Å, degrees): 3.9241 3.9241 6.4617 107.68 107.68 90.00
Last column: nearest neighbours and their distance in Å.
Element x y z (fractional)
Fe1 0.2500 0.7500 0.5000  4 As 2.29
Fe2 0.7500 0.2500 0.5000  4 As 2.29
Sr1 0.0000 0.0000 0.0000  8 As 3.27, 8 Fe 3.52
As1 0.6490 0.6490 0.2980  4 Fe 2.29
As2 0.3510 0.3510 0.7020  4 Fe 2.29

Calculated values
- ρ: 6.452 Mg/m³
- Formation energy from the elements: -0.40 eV/atom
- Volume: 17.97 Å³/atom
- Size of the total moment: 0.00 μB/f.u.

---

Record 7
Entry from the Materials Project database: a geometry-optimized ZrSO structure (meta-GGA r2SCAN).

Lattice parameters (Å, degrees): 5.7224 5.7224 5.7224 90.00 90.00 90.00
Last column: nearest neighbours and their distance in Å.
Element x y z (fractional)
Zr1 0.0713 0.0713 0.0713  3 O 2.09
Zr2 0.5713 0.4287 0.9287  3 O 2.09
Zr3 0.9287 0.5713 0.4287  3 O 2.09
Zr4 0.4287 0.9287 0.5713  3 O 2.09
S1 0.6679 0.8321 0.1679  4 Zr 2.59-2.74
S2 0.3321 0.3321 0.3321  4 Zr 2.59-2.74
S3 0.1679 0.6679 0.8321  4 Zr 2.59-2.74
S4 0.8321 0.1679 0.6679  4 Zr 2.59-2.74
O1 0.8446 0.3446 0.1554  3 Zr 2.09
O2 0.3446 0.1554 0.8446  3 Zr 2.09
O3 0.1554 0.8446 0.3446  3 Zr 2.09
O4 0.6554 0.6554 0.6554  3 Zr 2.09

Calculated values
- ρ: 4.937 Mg/m³
- Formation energy from the elements: -2.81 eV/atom
- Volume: 15.62 Å³/atom
- Size of the total moment: 0.00 μB/f.u.

---

Record 8
Entry from the Materials Project database: a geometry-optimized KSnAsS5 structure (meta-GGA r2SCAN).

Lattice parameters (Å, degrees): 7.4939 8.2773 13.9901 90.00 90.00 90.00
Last column: nearest neighbours and their distance in Å.
Element x y z (fractional)
Sn1 0.7324 0.0000 0.5000  6 S 2.51-2.69
Sn2 0.2676 0.0000 0.5000  6 S 2.51-2.69
Sn3 0.2676 0.5000 0.0000  6 S 2.51-2.69
Sn4 0.7324 0.5000 0.0000  6 S 2.51-2.69
As1 0.0000 0.8035 0.2780  3 S 2.22-2.31
As2 0.0000 0.3035 0.2220  3 S 2.22-2.31
As3 0.0000 0.6965 0.7780  3 S 2.22-2.31
As4 0.0000 0.1965 0.7220  3 S 2.22-2.31
S1 0.2358 0.4517 0.1820  1 As 2.22
S2 0.0000 0.6358 0.4104  1 S 2.02
S3 0.0000 0.2872 0.9762  1 S 2.02
S4 0.7642 0.0483 0.6820  1 As 2.22
S5 0.0000 0.7128 0.0238  1 S 2.02
S6 0.5000 0.7917 0.5373  2 Sn 2.51
S7 0.5000 0.7083 0.0373  2 Sn 2.51
S8 0.0000 0.2128 0.4762  1 S 2.02
S9 0.5000 0.2917 0.9627  2 Sn 2.51
S10 0.0000 0.1358 0.0896  1 S 2.02
S11 0.2358 0.9517 0.3180  1 As 2.22
S12 0.7642 0.4517 0.1820  1 As 2.22
S13 0.2358 0.5483 0.8180  1 As 2.22
S14 0.2358 0.0483 0.6820  1 As 2.22
S15 0.7642 0.9517 0.3180  1 As 2.22
S16 0.0000 0.7872 0.5238  1 S 2.02
S17 0.7642 0.5483 0.8180  1 As 2.22
S18 0.5000 0.2083 0.4627  2 Sn 2.51
S19 0.0000 0.3642 0.5896  1 S 2.02
S20 0.0000 0.8642 0.9104  1 S 2.02
K1 0.5000 0.3876 0.6630  5 S 3.17-3.45
K2 0.5000 0.1124 0.1630  5 S 3.17-3.45
K3 0.5000 0.6124 0.3370  5 S 3.17-3.45
K4 0.5000 0.8876 0.8370  5 S 3.17-3.45

Calculated values
- ρ: 3.008 Mg/m³
- Formation energy from the elements: -0.59 eV/atom
- Volume: 27.12 Å³/atom
- Size of the total moment: 0.00 μB/f.u.

---

Record 9
Entry from the Materials Project database: a geometry-optimized Ca2TlHg structure (meta-GGA r2SCAN).

Lattice parameters (Å, degrees): 5.3874 5.3874 5.3874 60.00 60.00 60.00
Last column: nearest neighbours and their distance in Å.
Element x y z (fractional)
Ca1 0.7500 0.7500 0.7500  4 Hg 3.30, 4 Tl 3.30
Ca2 0.2500 0.2500 0.2500  4 Hg 3.30, 4 Tl 3.30
Tl1 0.0000 0.0000 0.0000  8 Ca 3.30
Hg1 0.5000 0.5000 0.5000  8 Ca 3.30

Calculated values
- ρ: 7.286 Mg/m³
- Formation energy from the elements: -0.57 eV/atom
- Volume: 27.64 Å³/atom
- Size of the total moment: 0.00 μB/f.u.